# PBE Na10Ca4Nb4Si7S5O48, relaxed
# Energy relative to the elements   -2.625 eV per atom
# DFT total energy   -1588.75 eV/cell
data_Na10Ca4Nb4Si7S5O48
_chemical_formula_sum 'Na30 Ca12 Nb12 Si21 S15 O144'
_cell_length_a 9.293
_cell_length_b 16.042
_cell_length_c 22.818
_cell_angle_alpha 89.07
_cell_angle_beta 89.83
_cell_angle_gamma 89.99
_space_group_name_H-M_alt 'P 1'
_space_group_IT_number 1
loop_
_space_group_symop_operation_xyz
'x,y,z'
loop_
_atom_site_label
_atom_site_type_symbol
_atom_site_fract_x
_atom_site_fract_y
_atom_site_fract_z
Na1 Na 0.000 0.000 0.000
Na2 Na 0.000 0.324 0.668
Na3 Na 0.090 0.820 0.172
Na4 Na 0.096 0.158 0.831
Na5 Na 0.137 0.814 0.845
Na6 Na 0.144 0.150 0.514
Na7 Na 0.157 0.159 0.165
Na8 Na 0.265 0.675 0.423
Na9 Na 0.294 0.328 0.749
Na10 Na 0.294 0.977 0.082
Na11 Na 0.307 0.987 0.587
Na12 Na 0.309 0.332 0.256
Na13 Na 0.329 0.670 0.924
Na14 Na 0.452 0.147 0.013
Na15 Na 0.495 0.824 0.670
Na16 Na 0.498 0.498 0.011
Na17 Na 0.591 0.320 0.171
Na18 Na 0.593 0.995 0.509
Na19 Na 0.634 0.646 0.513
Na20 Na 0.657 0.658 0.165
Na21 Na 0.658 0.322 0.497
Na22 Na 0.660 0.989 0.830
Na23 Na 0.775 0.824 0.750
Na24 Na 0.782 0.168 0.419
Na25 Na 0.794 0.478 0.082
Na26 Na 0.809 0.833 0.256
Na27 Na 0.813 0.174 0.920
Na28 Na 0.827 0.485 0.579
Na29 Na 0.933 0.658 0.664
Na30 Na 0.949 0.648 0.013
Ca1 Ca 0.285 0.655 0.281
Ca2 Ca 0.293 0.984 0.943
Ca3 Ca 0.294 0.321 0.611
Ca4 Ca 0.294 0.325 0.112
Ca5 Ca 0.294 0.981 0.442
Ca6 Ca 0.307 0.650 0.779
Ca7 Ca 0.784 0.155 0.281
Ca8 Ca 0.793 0.823 0.111
Ca9 Ca 0.794 0.156 0.776
Ca10 Ca 0.795 0.483 0.942
Ca11 Ca 0.797 0.824 0.610
Ca12 Ca 0.806 0.485 0.442
Nb1 Nb 0.285 0.987 0.239
Nb2 Nb 0.289 0.316 0.909
Nb3 Nb 0.291 0.652 0.073
Nb4 Nb 0.292 0.983 0.738
Nb5 Nb 0.298 0.314 0.407
Nb6 Nb 0.299 0.648 0.571
Nb7 Nb 0.787 0.486 0.240
Nb8 Nb 0.791 0.151 0.073
Nb9 Nb 0.794 0.813 0.905
Nb10 Nb 0.800 0.149 0.575
Nb11 Nb 0.801 0.811 0.407
Nb12 Nb 0.803 0.484 0.736
Si1 Si 0.093 0.816 0.012
Si2 Si 0.097 0.149 0.681
Si3 Si 0.134 0.839 0.346
Si4 Si 0.136 0.173 0.015
Si5 Si 0.148 0.508 0.680
Si6 Si 0.444 0.508 0.180
Si7 Si 0.449 0.839 0.843
Si8 Si 0.453 0.172 0.512
Si9 Si 0.497 0.817 0.512
Si10 Si 0.498 0.150 0.178
Si11 Si 0.590 0.652 0.677
Si12 Si 0.594 0.317 0.013
Si13 Si 0.635 0.341 0.349
Si14 Si 0.637 0.006 0.682
Si15 Si 0.637 0.673 0.014
Si16 Si 0.942 0.008 0.180
Si17 Si 0.954 0.340 0.845
Si18 Si 0.954 0.671 0.515
Si19 Si 0.995 0.985 0.847
Si20 Si 0.997 0.317 0.513
Si21 Si 0.998 0.651 0.178
S1 S 0.090 0.477 0.341
S2 S 0.156 0.473 0.007
S3 S 0.157 0.140 0.343
S4 S 0.160 0.802 0.676
S5 S 0.427 0.804 0.175
S6 S 0.431 0.140 0.844
S7 S 0.433 0.472 0.506
S8 S 0.501 0.478 0.845
S9 S 0.589 0.978 0.344
S10 S 0.657 0.973 0.007
S11 S 0.658 0.639 0.343
S12 S 0.659 0.306 0.674
S13 S 0.927 0.303 0.175
S14 S 0.933 0.639 0.842
S15 S 0.934 0.973 0.508
O1 O 0.001 0.823 0.070
O2 O 0.002 0.164 0.737
O3 O 0.004 0.155 0.336
O4 O 0.006 0.500 0.000
O5 O 0.007 0.818 0.668
O6 O 0.012 0.487 0.396
O7 O 0.078 0.321 0.165
O8 O 0.080 0.327 0.573
O9 O 0.083 0.002 0.500
O10 O 0.083 0.004 0.905
O11 O 0.086 0.661 0.836
O12 O 0.108 0.683 0.225
O13 O 0.111 0.636 0.115
O14 O 0.122 0.971 0.791
O15 O 0.123 0.307 0.457
O16 O 0.134 0.007 0.183
O17 O 0.134 0.667 0.517
O18 O 0.140 0.337 0.849
O19 O 0.171 0.396 0.342
O20 O 0.173 0.427 0.062
O21 O 0.179 0.559 0.736
O22 O 0.179 0.759 0.733
O23 O 0.180 0.888 0.401
O24 O 0.184 0.058 0.684
O25 O 0.184 0.238 0.955
O26 O 0.184 0.724 0.013
O27 O 0.185 0.903 0.285
O28 O 0.186 0.571 0.620
O29 O 0.189 0.097 0.398
O30 O 0.191 0.546 0.334
O31 O 0.194 0.216 0.073
O32 O 0.194 0.747 0.342
O33 O 0.194 0.896 0.007
O34 O 0.198 0.414 0.676
O35 O 0.203 0.227 0.673
O36 O 0.213 0.084 0.009
O37 O 0.217 0.426 0.956
O38 O 0.221 0.094 0.291
O39 O 0.228 0.756 0.627
O40 O 0.235 0.225 0.343
O41 O 0.241 0.886 0.677
O42 O 0.249 0.552 0.009
O43 O 0.345 0.886 0.177
O44 O 0.348 0.223 0.845
O45 O 0.352 0.555 0.509
O46 O 0.359 0.758 0.123
O47 O 0.362 0.093 0.794
O48 O 0.370 0.427 0.455
O49 O 0.370 0.750 0.842
O50 O 0.376 0.222 0.171
O51 O 0.379 0.219 0.563
O52 O 0.388 0.080 0.504
O53 O 0.394 0.413 0.177
O54 O 0.396 0.890 0.898
O55 O 0.398 0.898 0.506
O56 O 0.401 0.548 0.838
O57 O 0.404 0.561 0.234
O58 O 0.407 0.725 0.514
O59 O 0.409 0.238 0.451
O60 O 0.409 0.569 0.118
O61 O 0.409 0.757 0.229
O62 O 0.410 0.097 0.900
O63 O 0.411 0.059 0.189
O64 O 0.411 0.901 0.783
O65 O 0.415 0.424 0.561
O66 O 0.416 0.398 0.846
O67 O 0.450 0.340 0.350
O68 O 0.453 0.002 0.682
O69 O 0.457 0.667 0.015
O70 O 0.466 0.307 0.956
O71 O 0.480 0.974 0.294
O72 O 0.481 0.637 0.616
O73 O 0.485 0.684 0.726
O74 O 0.504 0.327 0.072
O75 O 0.505 0.656 0.335
O76 O 0.506 0.000 0.001
O77 O 0.508 0.328 0.665
O78 O 0.515 0.988 0.400
O79 O 0.576 0.488 0.900
O80 O 0.579 0.820 0.165
O81 O 0.583 0.157 0.835
O82 O 0.586 0.493 0.499
O83 O 0.587 0.826 0.571
O84 O 0.605 0.472 0.794
O85 O 0.607 0.183 0.225
O86 O 0.610 0.137 0.115
O87 O 0.624 0.805 0.455
O88 O 0.633 0.172 0.516
O89 O 0.633 0.836 0.849
O90 O 0.635 0.505 0.184
O91 O 0.671 0.897 0.344
O92 O 0.676 0.925 0.060
O93 O 0.678 0.383 0.409
O94 O 0.678 0.560 0.691
O95 O 0.680 0.260 0.728
O96 O 0.681 0.048 0.741
O97 O 0.683 0.225 0.014
O98 O 0.687 0.070 0.622
O99 O 0.687 0.593 0.397
O100 O 0.687 0.738 0.956
O101 O 0.688 0.048 0.336
O102 O 0.689 0.407 0.290
O103 O 0.693 0.398 0.007
O104 O 0.696 0.913 0.675
O105 O 0.697 0.711 0.073
O106 O 0.698 0.249 0.344
O107 O 0.707 0.582 0.005
O108 O 0.714 0.722 0.671
O109 O 0.716 0.930 0.954
O110 O 0.723 0.594 0.290
O111 O 0.724 0.262 0.622
O112 O 0.738 0.723 0.344
O113 O 0.747 0.054 0.009
O114 O 0.747 0.388 0.675
O115 O 0.840 0.053 0.511
O116 O 0.843 0.386 0.177
O117 O 0.851 0.723 0.842
O118 O 0.859 0.258 0.124
O119 O 0.870 0.928 0.457
O120 O 0.871 0.585 0.505
O121 O 0.874 0.593 0.790
O122 O 0.876 0.388 0.507
O123 O 0.876 0.722 0.172
O124 O 0.879 0.058 0.839
O125 O 0.894 0.914 0.176
O126 O 0.899 0.713 0.573
O127 O 0.900 0.246 0.840
O128 O 0.902 0.060 0.235
O129 O 0.903 0.386 0.901
O130 O 0.904 0.403 0.784
O131 O 0.906 0.070 0.118
O132 O 0.906 0.595 0.897
O133 O 0.908 0.739 0.456
O134 O 0.908 0.892 0.851
O135 O 0.909 0.223 0.515
O136 O 0.909 0.257 0.229
O137 O 0.910 0.559 0.189
O138 O 0.920 0.926 0.562
O139 O 0.948 0.837 0.349
O140 O 0.955 0.507 0.682
O141 O 0.957 0.166 0.015
O142 O 0.972 0.803 0.954
O143 O 0.974 0.140 0.621
O144 O 0.985 0.472 0.290